VASP calculation (PBE) on NaCaH6S2NO9 after structural relaxation.

```
80
Lattice="7.548 0.000 0.000 0.000 11.291 0.000 -2.812 0.000 10.169" Properties=species:S:1:pos:R:3 pbc="T T T"
Na 0.000 0.760 0.000
Na -1.406 10.531 5.085
Na 0.418 4.863 4.438
Na -0.988 6.428 9.522
Ca 1.320 1.707 9.180
Ca 2.726 9.584 4.096
Ca 3.850 3.939 5.449
Ca 5.256 7.352 0.365
H -0.088 3.118 2.274
H -1.494 8.173 7.358
H -0.910 2.831 5.792
H 0.496 8.460 0.707
H -1.438 1.623 7.841
H -0.032 9.668 2.757
H -0.924 4.030 6.787
H 0.482 7.261 1.702
H -1.453 2.815 8.843
H -0.047 8.476 3.758
H 1.180 1.288 2.668
H -0.226 10.003 7.753
H 1.773 2.251 1.587
H 0.367 9.039 6.672
H 3.164 3.928 0.990
H 1.758 7.362 6.074
H 3.825 2.830 1.885
H 2.419 8.461 6.970
H 4.771 1.727 3.468
H 3.365 9.564 8.553
H 5.521 3.100 3.143
H 4.115 8.191 8.227
H 6.604 4.387 1.813
H 5.198 6.904 6.897
S 1.289 1.403 5.356
S 2.695 9.888 0.272
S 1.732 5.098 7.763
S 3.138 6.193 2.679
S 3.447 0.517 6.863
S 4.853 10.774 1.778
S 3.893 4.241 9.271
S 5.299 7.050 4.186
N 1.870 0.865 6.765
N 3.276 10.426 1.681
N 3.316 4.772 7.859
N 4.723 6.519 2.774
O -0.667 3.868 2.609
O -2.073 7.423 7.693
O -2.182 4.299 9.129
O -0.776 6.992 4.045
O -1.281 3.751 5.920
O 0.125 7.540 0.835
O -1.094 1.889 8.717
O 0.312 9.402 3.633
O -0.181 1.353 5.510
O 1.225 9.938 0.426
O 0.921 1.819 1.876
O -0.485 9.472 6.961
O 1.733 0.513 4.250
O 0.327 10.778 9.334
O 1.747 2.789 5.095
O 0.926 3.888 8.058
O 2.332 7.403 2.974
O 3.154 8.502 0.010
O 1.594 5.515 6.347
O 3.000 5.776 1.262
O 3.309 2.949 1.032
O 1.903 8.342 6.116
O 2.751 5.093 3.590
O 1.344 6.198 8.675
O 5.221 0.594 0.868
O 3.815 10.697 5.953
O 4.639 2.708 3.448
O 3.233 8.583 8.533
O 3.577 0.095 8.277
O 4.983 11.196 3.192
O 3.444 2.852 9.533
O 4.850 8.439 4.448
O 4.274 1.711 6.564
O 5.680 9.580 1.480
O 6.242 5.134 0.198
O 4.836 6.157 5.283
```

Results
symmetry: Pc, No. 7
V: 10.833 Å³/atom
VASP energy: -5.6291 eV per atom
formation energy: -1.697 eV per atom



VASP calculation (PBE) on AgSO4 after structural relaxation.

```
48
Lattice="6.625 -7.117 0.000 6.625 7.117 0.000 -6.517 0.000 7.210" Properties=species:S:1:pos:R:3 pbc="T T T"
Ag 0.000 0.000 0.000
Ag -3.259 0.000 3.605
Ag 3.312 3.558 0.000
Ag 0.054 3.558 3.605
Ag 3.312 -3.558 0.000
Ag 0.054 -3.558 3.605
Ag 6.625 0.000 0.000
Ag 3.366 0.000 3.605
S 0.103 3.760 6.795
S 3.336 0.357 0.280
S 3.371 3.760 4.020
S 0.077 -0.357 3.885
S 6.655 0.357 3.325
S 3.361 -3.760 3.190
S 3.397 -0.357 6.930
S 6.629 -3.760 0.415
O -0.024 5.127 6.215
O -3.215 1.479 6.492
O 2.205 3.611 3.100
O -1.110 0.528 3.701
O 5.448 3.396 0.434
O 2.148 -0.528 0.096
O 0.247 2.808 5.645
O 3.498 5.127 4.599
O 3.393 0.979 1.631
O 1.245 0.538 3.623
O 0.043 -1.479 2.887
O 4.543 3.396 3.171
O 7.786 3.611 0.505
O 4.504 -0.538 0.019
O 3.227 2.808 5.169
O 0.134 -0.979 5.236
O 6.598 0.979 1.974
O 3.505 -2.808 2.041
O 2.228 0.538 7.191
O -1.053 -3.611 6.705
O 2.190 -3.396 4.038
O 6.689 1.479 4.323
O 5.487 -0.538 3.586
O 3.340 -0.979 5.579
O 3.235 -5.127 2.611
O 6.486 -2.808 1.564
O 4.584 0.528 7.113
O 1.284 -3.396 6.776
O 7.843 -0.528 3.508
O 4.527 -3.611 4.109
O 9.948 -1.479 0.718
O 6.756 -5.127 0.994
```

Results
symmetry: C2/c, No. 15
energy above the most stable polymorph in this dataset: 0.0000 eV per atom
V: 14.163 Å³/atom
VASP energy: -5.3746 eV per atom
formation energy: -1.373 eV per atom



VASP calculation (PBE) on As2S2F3 after structural relaxation.

```
56
Lattice="6.158 0.000 0.000 0.000 20.200 0.000 0.000 0.000 9.962" Properties=species:S:1:pos:R:3 pbc="T T T"
As 0.010 3.524 1.227
As 0.010 3.524 3.755
As 0.010 6.576 6.208
As 0.010 6.576 8.736
As 0.339 0.180 2.491
As 0.339 9.920 7.472
As 3.000 13.406 7.472
As 3.000 16.895 2.491
As 3.158 3.305 7.472
As 3.158 6.795 2.491
As 5.819 10.280 2.491
As 5.819 20.021 7.472
As 6.148 13.624 1.227
As 6.148 13.624 3.755
As 6.148 16.676 6.208
As 6.148 16.676 8.736
S 0.874 1.551 0.763
S 0.874 1.551 4.218
S 0.874 8.549 5.744
S 0.874 8.549 9.199
S 1.903 10.849 2.491
S 1.903 12.862 2.491
S 1.903 17.439 7.472
S 1.903 19.452 7.472
S 4.256 0.749 2.491
S 4.255 2.762 2.491
S 4.255 7.338 7.472
S 4.256 9.352 7.472
S 5.284 11.651 0.763
S 5.284 11.651 4.218
S 5.284 18.649 5.744
S 5.284 18.649 9.199
F 1.542 14.461 7.472
F 1.542 15.839 2.491
F 1.717 2.262 7.472
F 1.717 7.838 2.491
F 2.254 12.399 6.216
F 2.254 12.399 8.728
F 2.254 17.901 1.235
F 2.254 17.901 3.746
F 2.427 4.329 6.221
F 2.427 4.329 8.723
F 2.427 5.771 1.240
F 2.427 5.771 3.741
F 3.731 14.430 6.221
F 3.731 14.430 8.723
F 3.731 15.871 1.240
F 3.731 15.871 3.741
F 3.904 2.299 6.216
F 3.904 2.299 8.728
F 3.904 7.801 1.235
F 3.904 7.801 3.746
F 4.442 12.362 7.472
F 4.442 17.938 2.491
F 4.616 4.361 7.472
F 4.616 5.739 2.491
```

Results
symmetry: Pbcm, No. 57
V: 22.131 Å³/atom
VASP energy: -4.5086 eV per atom
formation energy: -1.517 eV per atom



VASP calculation (PBE) on SrCaTiP2O8 after structural relaxation.

```
26
Lattice="5.768 0.000 0.000 -0.844 6.798 0.000 -2.550 -3.318 8.733" Properties=species:S:1:pos:R:3 pbc="T T T"
Sr -0.095 0.182 3.841
Sr 2.469 3.298 4.892
Ca -0.401 -0.985 7.320
Ca 2.775 4.465 1.413
Ti -2.777 2.457 8.283
Ti 5.151 1.023 0.451
P -0.330 3.749 2.407
P -0.137 2.550 6.937
P 2.511 0.930 1.797
P 2.705 -0.270 6.326
O -1.486 4.280 3.316
O -0.641 4.371 0.998
O -0.395 2.215 2.270
O -1.384 3.513 7.009
O 1.243 0.159 1.267
O 0.103 2.109 5.501
O -0.471 1.392 7.942
O 1.051 4.219 2.918
O 1.324 -0.739 5.815
O 2.845 2.088 0.791
O 2.271 1.371 3.232
O 1.131 3.321 7.466
O 3.758 -0.033 1.725
O 2.769 1.265 6.463
O 3.016 -0.891 7.735
O 3.860 -0.800 5.417
```

Results
symmetry: P-1, No. 2
V: 13.171 Å³/atom
VASP energy: -7.4328 eV per atom
formation energy: -3.086 eV per atom



VASP calculation (PBE) on NdTlPd after structural relaxation.

```
9
Lattice="7.980 0.000 0.000 -3.990 6.911 0.000 0.000 0.000 3.943" Properties=species:S:1:pos:R:3 pbc="T T T"
Nd -2.372 4.108 0.000
Nd 1.618 2.802 0.000
Nd 4.744 0.000 0.000
Tl -1.046 1.811 1.971
Tl 2.091 0.000 1.971
Tl 2.944 5.099 1.971
Pd 0.000 0.000 0.000
Pd 0.000 4.607 1.971
Pd 3.990 2.304 1.971
```

Results
symmetry: P-62m, No. 189
V: 24.159 Å³/atom
VASP energy: -4.7500 eV per atom
formation energy: -0.646 eV per atom



VASP calculation (PBE) on SmP2Pd2 after structural relaxation.

```
5
Lattice="-2.069 2.069 4.984 2.069 -2.069 4.984 2.069 2.069 -4.984" Properties=species:S:1:pos:R:3 pbc="T T T"
Sm 0.000 0.000 0.000
P 0.000 0.000 3.868
P 0.000 0.000 6.101
Pd 2.069 0.000 2.492
Pd 0.000 2.069 2.492
```

Results
symmetry: I4/mmm, No. 139
V: 17.077 Å³/atom
VASP energy: -6.1389 eV per atom
formation energy: -0.958 eV per atom